Record 1
VASP calculation (GGA+U) on a relaxed NiCl2O4 crystal.

The formation energy from the elements comes out at 459 meV per atom. The calculated volume is 15.43 Å³/atom. The relative energy among the computed polymorphs is 268 meV per atom. For the energy with MP2020 corrections, the calculation gives -3.723 eV per atom.

The structure belongs to space group P2_1/c (No. 14); the cell edges are 5.2094, 7.6939 and 11.6033 Å and the angles 90.00°, 111.69° and 90.00°. The distinct sites, in fractional coordinates, are Ni at (0.2244, 0.1637, 0.2398), Cl at (0.0624, 0.6787, 0.9222), Cl at (0.2931, 0.1231, 0.8816), O at (0.0757, 0.5894, 0.2199), O at (0.1894, 0.5349, 0.6463), O at (0.4475, 0.0122, 0.3552) and O at (0.4733, 0.7358, 0.2976).


Record 2
VASP calculation (GGA+U) on a relaxed NiCl2O2 crystal.

The formation energy from the elements comes out at -366 meV per atom. The calculated volume is 24.09 Å³/atom. The relative energy among the computed polymorphs is 0 meV per atom. For the energy with MP2020 corrections, the calculation gives -4.241 eV per atom.

The structure belongs to space group C2/m (No. 12); the cell edges are 12.4560, 6.7722 and 6.6816 Å and the angles 90.00°, 121.26° and 90.00°. The distinct sites, in fractional coordinates, are Ni at (0.0000, 0.2499, 0.0000), Cl at (0.0392, 0.0000, 0.8067), Cl at (0.0660, 0.5000, 0.8487) and O at (0.2425, 0.2398, 0.4019).


Record 3
VASP calculation (GGA+U) on a relaxed NiCl2O2 crystal.

The formation energy from the elements comes out at 285 meV per atom. The calculated volume is 17.95 Å³/atom. The relative energy among the computed polymorphs is 652 meV per atom. For the energy with MP2020 corrections, the calculation gives -3.589 eV per atom.

The structure belongs to space group C2/m (No. 12); the cell edges are 10.1553, 6.7001 and 6.6958 Å and the angles 90.00°, 127.99° and 90.00°. The distinct sites, in fractional coordinates, are Ni at (0.2500, 0.2500, 0.0000), Cl at (0.1978, 0.0000, 0.7073), Cl at (0.2493, 0.0000, 0.2379) and O at (0.0372, 0.3100, 0.8460).